(1)
# VH21C7N4Cl7 PBE optimized geometry
data_VH21C7N4Cl7
_space_group_name_H-M_alt 'C 1 2/c 1'
_space_group_IT_number 15
_cell_length_a 23.667
_cell_length_b 7.239
_cell_length_c 21.413
_cell_angle_alpha 90.00
_cell_angle_beta 114.58
_cell_angle_gamma 90.00
loop_
_space_group_symop_operation_xyz
'x,y,z'
'-x,-y,-z'
'-x,y,-z+1/2'
'x,-y,z+1/2'
'x+1/2,y+1/2,z'
'-x+1/2,-y+1/2,-z'
'-x+1/2,y+1/2,-z+1/2'
'x+1/2,-y+1/2,z+1/2'
loop_
_atom_site_label
_atom_site_fract_x
_atom_site_fract_y
_atom_site_fract_z
_atom_site_occupancy
V1 0.019 0.216 0.208 1
H1 0.001 0.281 0.524 1
H2 0.009 0.416 0.711 1
H3 0.013 0.229 0.850 1
H4 0.058 0.451 0.017 1
H5 0.062 0.302 0.951 1
H6 0.065 0.246 0.712 1
H7 0.069 0.183 0.087 1
H8 0.074 0.045 0.025 1
H9 0.080 0.351 0.424 1
H10 0.128 0.017 0.389 1
H11 0.129 0.405 0.674 1
H12 0.130 0.454 0.934 1
H13 0.149 0.470 0.280 1
H14 0.161 0.318 0.455 1
H15 0.163 0.344 0.102 1
H16 0.165 0.179 0.700 1
H17 0.169 0.204 0.036 1
H18 0.175 0.099 0.115 1
H19 0.179 0.254 0.316 1
H20 0.183 0.053 0.350 1
H21 0.206 0.453 0.369 1
C1 0.016 0.272 0.703 1
C2 0.048 0.313 0.994 1
C3 0.122 0.399 0.419 1
C4 0.152 0.208 0.077 1
C5 0.165 0.389 0.328 1
C6 0.167 0.313 0.677 1
C7 0.174 0.019 0.889 1
N1 0.000 0.007 0.250 1
N2 0.000 0.166 0.750 1
N3 0.060 0.315 0.302 1
N4 0.084 0.176 0.047 1
N5 0.113 0.370 0.348 1
Cl1 0.035 0.051 0.410 1
Cl2 0.040 0.426 0.133 1
Cl3 0.112 0.068 0.213 1
Cl4 0.155 0.271 0.590 1
Cl5 0.174 0.251 0.869 1
Cl6 0.232 0.033 0.472 1
Cl7 0.239 0.419 0.727 1
# MP2020-corrected energy: -5.124 eV/atom
# total energy: -5.02 eV per atom
# energy of formation from the pure elements: -0.343 eV/atom


(2)
# ZnH8C4N8Cl2 PBE optimized geometry
data_ZnH8C4N8Cl2
_space_group_name_H-M_alt 'P 1 21/c 1'
_space_group_IT_number 14
_cell_length_a 5.001
_cell_length_b 15.007
_cell_length_c 15.733
_cell_angle_alpha 90.00
_cell_angle_beta 93.74
_cell_angle_gamma 90.00
loop_
_space_group_symop_operation_xyz
'x,y,z'
'-x,-y,-z'
'-x,y+1/2,-z+1/2'
'x,-y+1/2,z+1/2'
loop_
_atom_site_label
_atom_site_fract_x
_atom_site_fract_y
_atom_site_fract_z
_atom_site_occupancy
Zn1 0.072 0.234 0.414 1
H1 0.095 0.509 0.579 1
H2 0.132 0.657 0.285 1
H3 0.136 0.041 0.180 1
H4 0.154 0.185 0.627 1
H5 0.187 0.041 0.585 1
H6 0.348 0.226 0.717 1
H7 0.381 0.699 0.358 1
H8 0.413 0.534 0.139 1
C1 0.162 0.594 0.400 1
C2 0.286 0.639 0.707 1
C3 0.410 0.094 0.685 1
C4 0.487 0.637 0.502 1
N1 0.039 0.038 0.121 1
N2 0.166 0.689 0.662 1
N3 0.233 0.654 0.343 1
N4 0.284 0.587 0.479 1
N5 0.300 0.175 0.675 1
N6 0.326 0.180 0.973 1
N7 0.328 0.028 0.633 1
N8 0.398 0.576 0.753 1
Cl1 0.142 0.649 0.992 1
Cl2 0.275 0.149 0.314 1
# MP2020-corrected energy: -6.217 eV/atom
# total energy: -6.16 eV per atom
# energy of formation from the pure elements: -0.317 eV/atom


(3)
# NaH12RuC4S2Cl4O2 PBE optimized geometry
data_NaH12RuC4S2Cl4O2
_space_group_name_H-M_alt 'P 1 21/c 1'
_space_group_IT_number 14
_cell_length_a 12.084
_cell_length_b 8.199
_cell_length_c 13.983
_cell_angle_alpha 90.00
_cell_angle_beta 98.50
_cell_angle_gamma 90.00
loop_
_space_group_symop_operation_xyz
'x,y,z'
'-x,-y,-z'
'-x,y+1/2,-z+1/2'
'x,-y+1/2,z+1/2'
loop_
_atom_site_label
_atom_site_fract_x
_atom_site_fract_y
_atom_site_fract_z
_atom_site_occupancy
Na1 0.144 0.003 0.485 1
H1 0.011 0.749 0.221 1
H2 0.033 0.539 0.255 1
H3 0.129 0.692 0.310 1
H4 0.186 0.053 0.226 1
H5 0.193 0.229 0.743 1
H6 0.238 0.181 0.137 1
H7 0.336 0.582 0.335 1
H8 0.347 0.687 0.714 1
H9 0.351 0.608 0.464 1
H10 0.413 0.007 0.248 1
H11 0.473 0.604 0.405 1
H12 0.494 0.677 0.762 1
Ru1 0.000 0.000 0.000 1
Ru2 0.500 0.000 0.500 1
C1 0.042 0.665 0.280 1
C2 0.179 0.172 0.190 1
C3 0.385 0.640 0.398 1
C4 0.411 0.623 0.764 1
S1 0.040 0.193 0.125 1
S2 0.375 0.643 0.883 1
Cl1 0.136 0.146 0.927 1
Cl2 0.143 0.678 0.572 1
Cl3 0.356 0.018 0.600 1
Cl4 0.430 0.236 0.415 1
O1 0.028 0.130 0.595 1
O2 0.254 0.600 0.875 1
# MP2020-corrected energy: -4.892 eV/atom
# total energy: -4.84 eV per atom
# energy of formation from the pure elements: -0.516 eV/atom


(4)
# Nb3H20C5Cl7O5 PBE optimized geometry
data_Nb3H20C5Cl7O5
_space_group_name_H-M_alt 'P -1'
_space_group_IT_number 2
_cell_length_a 10.405
_cell_length_b 10.421
_cell_length_c 12.475
_cell_angle_alpha 89.16
_cell_angle_beta 67.37
_cell_angle_gamma 65.99
loop_
_space_group_symop_operation_xyz
'x,y,z'
'-x,-y,-z'
loop_
_atom_site_label
_atom_site_fract_x
_atom_site_fract_y
_atom_site_fract_z
_atom_site_occupancy
Nb1 0.008 0.432 0.154 1
Nb2 0.122 0.613 0.004 1
Nb3 0.209 0.321 0.903 1
H1 0.014 0.040 0.294 1
H2 0.024 0.875 0.343 1
H3 0.090 0.640 0.609 1
H4 0.097 0.237 0.442 1
H5 0.113 0.966 0.387 1
H6 0.124 0.396 0.422 1
H7 0.234 0.787 0.090 1
H8 0.239 0.243 0.307 1
H9 0.261 0.729 0.501 1
H10 0.307 0.890 0.206 1
H11 0.310 0.881 0.657 1
H12 0.328 0.026 0.586 1
H13 0.336 0.524 0.337 1
H14 0.354 0.785 0.844 1
H15 0.380 0.861 0.957 1
H16 0.381 0.430 0.449 1
H17 0.393 0.873 0.409 1
H18 0.468 0.546 0.386 1
H19 0.488 0.673 0.901 1
H20 0.494 0.857 0.547 1
C1 0.087 0.941 0.315 1
C2 0.124 0.305 0.378 1
C3 0.362 0.531 0.414 1
C4 0.368 0.910 0.573 1
C5 0.377 0.766 0.923 1
Cl1 0.098 0.157 0.883 1
Cl2 0.137 0.713 0.820 1
Cl3 0.153 0.554 0.189 1
Cl4 0.233 0.371 0.703 1
Cl5 0.251 0.209 0.071 1
Cl6 0.387 0.425 0.893 1
Cl7 0.471 0.099 0.781 1
O1 0.011 0.353 0.329 1
O2 0.228 0.859 0.213 1
O3 0.236 0.646 0.505 1
O4 0.252 0.744 0.012 1
O5 0.328 0.864 0.487 1
# MP2020-corrected energy: -5.325 eV/atom
# total energy: -5.24 eV per atom
# energy of formation from the pure elements: -0.775 eV/atom